Entry 1:
VASP calculation (r²SCAN) on a geometry-optimized NiSb3 structure.

## Properties
The value obtained for the energy relative to the elements is -126 meV/atom. The uncorrected energy is -22.4009 eV per atom.

The structure in CIF format:
```
data_NiSb3
_symmetry_space_group_name_H-M 'I m -3'
_symmetry_Int_Tables_number 204
_symmetry_space_group_name_Hall '-I 2 2 3'
_cell_length_a 9.185
_cell_length_b 9.185
_cell_length_c 9.185
_cell_angle_alpha 90.00
_cell_angle_beta 90.00
_cell_angle_gamma 90.00
loop_
_atom_site_label
_atom_site_fract_x
_atom_site_fract_y
_atom_site_fract_z
_atom_site_occupancy
Ni1 0.250 0.250 0.250 1
Sb1 0.000 0.159 0.337 1
```

Entry 2:
VASP calculation (r²SCAN) on a geometry-optimized SmNiSb2 structure.

## Properties
The value obtained for the energy relative to the elements is -787 meV/atom. The uncorrected energy is -24.0691 eV per atom.

The structure in CIF format:
```
data_SmNiSb2
_symmetry_space_group_name_H-M 'P 4/n m m'
_symmetry_Int_Tables_number 129
_cell_length_a 4.371
_cell_length_b 4.371
_cell_length_c 9.627
_cell_angle_alpha 90.00
_cell_angle_beta 90.00
_cell_angle_gamma 90.00
loop_
_symmetry_equiv_pos_as_xyz
'x,y,z'
'-x,-y,-z'
'-y+1/2,x,z'
'y+1/2,-x,-z'
'-x+1/2,-y+1/2,z'
'x+1/2,y+1/2,-z'
'y,-x+1/2,z'
'-y,x+1/2,-z'
'x+1/2,-y,-z'
'-x+1/2,y,z'
'-y,-x,-z'
'y,x,z'
'-x,y+1/2,-z'
'x,-y+1/2,z'
'y+1/2,x+1/2,-z'
'-y+1/2,-x+1/2,z'
loop_
_atom_site_label
_atom_site_fract_x
_atom_site_fract_y
_atom_site_fract_z
_atom_site_occupancy
Sm1 0.250 0.250 0.241 1
Ni1 0.250 0.750 0.000 1
Sb1 0.250 0.250 0.867 1
Sb2 0.250 0.750 0.500 1
```

Entry 3:
VASP calculation (r²SCAN) on a geometry-optimized SmNiSb3 structure.

## Properties
The value obtained for the energy relative to the elements is -668 meV/atom. The uncorrected energy is -24.4343 eV per atom.

The structure in CIF format:
```
data_SmNiSb3
_symmetry_space_group_name_H-M 'P b c m'
_symmetry_Int_Tables_number 57
_symmetry_space_group_name_Hall '-P 2c 2b'
_cell_length_a 12.586
_cell_length_b 6.222
_cell_length_c 18.273
_cell_angle_alpha 90.00
_cell_angle_beta 90.00
_cell_angle_gamma 90.00
loop_
_atom_site_label
_atom_site_fract_x
_atom_site_fract_y
_atom_site_fract_z
_atom_site_occupancy
Sm1 0.194 0.060 0.250 1
Sm2 0.200 0.527 0.084 1
Ni1 0.398 0.250 0.000 1
Ni2 0.402 0.674 0.676 1
Sb1 0.003 0.250 0.000 1
Sb2 0.003 0.706 0.666 1
Sb3 0.274 0.027 0.084 1
Sb4 0.278 0.554 0.250 1
Sb5 0.442 0.183 0.250 1
Sb6 0.474 0.541 0.087 1
```

Entry 4:
VASP calculation (r²SCAN) on a geometry-optimized SrNi2Sb2 structure.

## Properties
The value obtained for the energy relative to the elements is -551 meV/atom. The uncorrected energy is -18.6549 eV per atom.

The structure in CIF format:
```
data_SrNi2Sb2
_symmetry_space_group_name_H-M 'I 4/m m m'
_symmetry_Int_Tables_number 139
_symmetry_space_group_name_Hall '-I 4 2'
_cell_length_a 4.425
_cell_length_b 4.425
_cell_length_c 10.845
_cell_angle_alpha 90.00
_cell_angle_beta 90.00
_cell_angle_gamma 90.00
loop_
_atom_site_label
_atom_site_fract_x
_atom_site_fract_y
_atom_site_fract_z
_atom_site_occupancy
Sr1 0.000 0.000 0.000 1
Ni1 0.000 0.500 0.250 1
Sb1 0.000 0.000 0.359 1
```

Entry 5:
VASP calculation (r²SCAN) on a geometry-optimized TbNiSb structure.

## Properties
The value obtained for the energy relative to the elements is -1003 meV/atom. The uncorrected energy is -23.9742 eV per atom.

The structure in CIF format:
```
data_TbNiSb
_symmetry_space_group_name_H-M 'F -4 3 m'
_symmetry_Int_Tables_number 216
_symmetry_space_group_name_Hall 'F -4 2 3'
_cell_length_a 6.334
_cell_length_b 6.334
_cell_length_c 6.334
_cell_angle_alpha 90.00
_cell_angle_beta 90.00
_cell_angle_gamma 90.00
loop_
_atom_site_label
_atom_site_fract_x
_atom_site_fract_y
_atom_site_fract_z
_atom_site_occupancy
Tb1 0.000 0.000 0.000 1
Ni1 0.250 0.250 0.750 1
Sb1 0.000 0.000 0.500 1
```

Entry 6:
VASP calculation (r²SCAN) on a geometry-optimized TiNiSb structure.

## Properties
The value obtained for the energy relative to the elements is -544 meV/atom. The uncorrected energy is -17.4192 eV per atom.

The structure in CIF format:
```
data_TiNiSb
_symmetry_space_group_name_H-M 'F -4 3 m'
_symmetry_Int_Tables_number 216
_symmetry_space_group_name_Hall 'F -4 2 3'
_cell_length_a 5.912
_cell_length_b 5.912
_cell_length_c 5.912
_cell_angle_alpha 90.00
_cell_angle_beta 90.00
_cell_angle_gamma 90.00
loop_
_atom_site_label
_atom_site_fract_x
_atom_site_fract_y
_atom_site_fract_z
_atom_site_occupancy
Ti1 0.000 0.000 0.000 1
Ni1 0.250 0.250 0.250 1
Sb1 0.000 0.000 0.500 1
```

Entry 7:
VASP calculation (r²SCAN) on a geometry-optimized TmNiSb structure.

## Properties
The value obtained for the energy relative to the elements is -1000 meV/atom. The uncorrected energy is -25.2693 eV per atom.

The structure in CIF format:
```
data_TmNiSb
_symmetry_space_group_name_H-M 'F -4 3 m'
_symmetry_Int_Tables_number 216
_symmetry_space_group_name_Hall 'F -4 2 3'
_cell_length_a 6.250
_cell_length_b 6.250
_cell_length_c 6.250
_cell_angle_alpha 90.00
_cell_angle_beta 90.00
_cell_angle_gamma 90.00
loop_
_atom_site_label
_atom_site_fract_x
_atom_site_fract_y
_atom_site_fract_z
_atom_site_occupancy
Tm1 0.000 0.000 0.000 1
Ni1 0.250 0.250 0.750 1
Sb1 0.000 0.000 0.500 1
```

Entry 8:
VASP calculation (r²SCAN) on a geometry-optimized U3Ni3Sb4 structure.

## Properties
The value obtained for the energy relative to the elements is -650 meV/atom. The uncorrected energy is -38.5101 eV per atom.

The structure in CIF format:
```
data_U3Ni3Sb4
_symmetry_space_group_name_H-M 'I -4 3 d'
_symmetry_Int_Tables_number 220
_symmetry_space_group_name_Hall 'I -4bd 2c 3'
_cell_length_a 9.419
_cell_length_b 9.419
_cell_length_c 9.419
_cell_angle_alpha 90.00
_cell_angle_beta 90.00
_cell_angle_gamma 90.00
loop_
_atom_site_label
_atom_site_fract_x
_atom_site_fract_y
_atom_site_fract_z
_atom_site_occupancy
U1 0.000 0.250 0.875 1
Ni1 0.000 0.250 0.375 1
Sb1 0.082 0.418 0.582 1
```

Entry 9:
VASP calculation (r²SCAN) on a geometry-optimized U2NiSb4 structure.

## Properties
The value obtained for the energy relative to the elements is -578 meV/atom. The uncorrected energy is -39.8196 eV per atom.

The structure in CIF format:
```
data_U2NiSb4
_symmetry_space_group_name_H-M 'P -4 m 2'
_symmetry_Int_Tables_number 115
_symmetry_space_group_name_Hall 'P -4 -2'
_cell_length_a 4.348
_cell_length_b 4.348
_cell_length_c 9.273
_cell_angle_alpha 90.00
_cell_angle_beta 90.00
_cell_angle_gamma 90.00
loop_
_atom_site_label
_atom_site_fract_x
_atom_site_fract_y
_atom_site_fract_z
_atom_site_occupancy
U1 0.000 0.500 0.232 1
Ni1 0.500 0.500 0.000 1
Sb1 0.000 0.000 0.500 1
Sb2 0.000 0.500 0.863 1
Sb3 0.500 0.500 0.500 1
```

Entry 10:
VASP calculation (r²SCAN) on a geometry-optimized Yb2NiSb2 structure.

## Properties
The value obtained for the energy relative to the elements is -1079 meV/atom. The uncorrected energy is -28.3692 eV per atom.

The structure in CIF format:
```
data_Yb2NiSb2
_symmetry_space_group_name_H-M 'R 3 m'
_symmetry_Int_Tables_number 160
_symmetry_space_group_name_Hall 'R 3 -2"'
_cell_length_a 4.3787
_cell_length_b 4.3787
_cell_length_c 21.3593
_cell_angle_alpha 90.00
_cell_angle_beta 90.00
_cell_angle_gamma 120.00
loop_
_atom_site_label
_atom_site_fract_x
_atom_site_fract_y
_atom_site_fract_z
_atom_site_occupancy
Yb1 0.0000 0.0000 0.0000 1
Yb2 0.0000 0.0000 0.4916 1
Ni1 0.0000 0.0000 0.6173 1
Sb1 0.0000 0.0000 0.2460 1
Sb2 0.0000 0.0000 0.7455 1
```